First-principles (PBE with a Hubbard U) data for a relaxed structure of FeH10S2N4O8, as listed in the Materials Project database.

Values from the calculation:
E (MP2020), eV/atom: -5.964
ΔE_f, kJ/mol of atoms: -98.42
Magnetic moment, μB per cell: 0.00
Energy above the lowest structure with this stoichiometry, meV/atom: 2.3
DFT total energy, eV/atom: -5.65

The structure in CIF format:
```
data_FeH10S2N4O8
_cell_length_a 7.638
_cell_length_b 7.511
_cell_length_c 17.066
_cell_angle_alpha 95.72
_cell_angle_beta 99.80
_cell_angle_gamma 103.58
_space_group_name_H-M_alt 'P 1'
_space_group_IT_number 1
loop_
_space_group_symop_operation_xyz
'x,y,z'
loop_
_atom_site_label
_atom_site_type_symbol
_atom_site_fract_x
_atom_site_fract_y
_atom_site_fract_z
_atom_site_occupancy
S1 S 0.218 0.429 0.595 1
S2 S 0.219 0.429 0.095 1
S3 S 0.782 0.571 0.405 1
S4 S 0.782 0.071 0.655 1
S5 S 0.218 0.929 0.344 1
S6 S 0.782 0.571 0.906 1
S7 S 0.218 0.929 0.845 1
S8 S 0.782 0.071 0.155 1
O1 O 0.327 0.339 0.151 1
O2 O 0.659 0.935 0.194 1
O3 O 0.889 0.964 0.111 1
O4 O 0.659 0.436 0.444 1
O5 O 0.913 0.712 0.971 1
O6 O 0.913 0.711 0.470 1
O7 O 0.110 0.035 0.388 1
O8 O 0.111 0.536 0.139 1
O9 O 0.673 0.661 0.850 1
O10 O 0.673 0.161 0.099 1
O11 O 0.087 0.289 0.029 1
O12 O 0.889 0.965 0.611 1
O13 O 0.659 0.936 0.694 1
O14 O 0.341 0.064 0.806 1
O15 O 0.341 0.564 0.556 1
O16 O 0.111 0.535 0.639 1
O17 O 0.111 0.036 0.889 1
O18 O 0.914 0.211 0.721 1
O19 O 0.913 0.211 0.221 1
O20 O 0.086 0.289 0.529 1
O21 O 0.673 0.662 0.349 1
O22 O 0.673 0.162 0.599 1
O23 O 0.327 0.338 0.651 1
O24 O 0.890 0.465 0.862 1
O25 O 0.087 0.789 0.279 1
O26 O 0.889 0.464 0.361 1
O27 O 0.327 0.838 0.901 1
O28 O 0.087 0.789 0.780 1
O29 O 0.327 0.839 0.401 1
O30 O 0.341 0.565 0.056 1
O31 O 0.341 0.064 0.306 1
O32 O 0.659 0.436 0.944 1
N1 N 0.289 0.409 0.889 1
N2 N 0.268 0.462 0.309 1
N3 N 0.711 0.591 0.611 1
N4 N 0.732 0.538 0.691 1
N5 N 0.732 0.538 0.190 1
N6 N 0.711 0.091 0.361 1
N7 N 0.268 0.962 0.059 1
N8 N 0.711 0.091 0.861 1
N9 N 0.732 0.038 0.941 1
N10 N 0.289 0.409 0.389 1
N11 N 0.268 0.962 0.559 1
N12 N 0.732 0.038 0.441 1
N13 N 0.268 0.462 0.810 1
N14 N 0.289 0.909 0.139 1
N15 N 0.711 0.591 0.111 1
N16 N 0.289 0.909 0.639 1
H1 H 0.374 0.579 0.814 1
H2 H 0.207 0.274 0.387 1
H3 H 0.374 0.079 0.564 1
H4 H 0.572 0.587 0.088 1
H5 H 0.207 0.774 0.137 1
H6 H 0.704 0.639 0.228 1
H7 H 0.374 0.579 0.314 1
H8 H 0.249 0.999 0.178 1
H9 H 0.249 0.499 0.928 1
H10 H 0.793 0.726 0.113 1
H11 H 0.428 0.913 0.662 1
H12 H 0.295 0.361 0.272 1
H13 H 0.627 0.421 0.686 1
H14 H 0.208 0.274 0.887 1
H15 H 0.572 0.087 0.338 1
H16 H 0.704 0.139 0.978 1
H17 H 0.296 0.361 0.772 1
H18 H 0.752 0.001 0.822 1
H19 H 0.296 0.861 0.022 1
H20 H 0.792 0.226 0.363 1
H21 H 0.751 0.501 0.072 1
H22 H 0.704 0.139 0.478 1
H23 H 0.296 0.861 0.522 1
H24 H 0.374 0.079 0.064 1
H25 H 0.427 0.413 0.412 1
H26 H 0.428 0.913 0.162 1
H27 H 0.627 0.921 0.936 1
H28 H 0.751 0.501 0.572 1
H29 H 0.428 0.413 0.912 1
H30 H 0.208 0.774 0.637 1
H31 H 0.626 0.921 0.436 1
H32 H 0.248 0.499 0.428 1
H33 H 0.572 0.587 0.588 1
H34 H 0.793 0.226 0.863 1
H35 H 0.704 0.639 0.728 1
H36 H 0.573 0.087 0.838 1
H37 H 0.751 0.001 0.322 1
H38 H 0.249 0.999 0.678 1
H39 H 0.792 0.726 0.613 1
H40 H 0.626 0.421 0.186 1
Fe1 Fe 0.000 0.500 0.250 1
Fe2 Fe 0.000 0.000 0.500 1
Fe3 Fe 0.000 0.000 0.000 1
Fe4 Fe 0.000 0.500 0.750 1
```